DFT (PBE) results for an optimized crystal structure of Pr3Eu.

Summary:
mass density	5.71	Mg/m³
E_form	0.09	eV/atom

Cell: 5.473 5.473 11.170 Å, 90.00 90.00 90.00°
Fractional coordinates of all 8 atoms:
Pr (0.000, 0.000, 0.000)
Pr (0.000, 0.500, 0.250)
Pr (0.000, 0.500, 0.750)
Pr (0.500, 0.000, 0.250)
Pr (0.500, 0.000, 0.750)
Pr (0.500, 0.500, 0.500)
Eu (0.000, 0.000, 0.500)
Eu (0.500, 0.500, 0.000)